1.
Na2SnO3 | r2SCAN | optimized geometry

Cell lengths 5.525, 5.525, 5.739 Å; angles 99.43, 99.43, 119.90 degrees
Fractional coordinates of all 12 atoms:
Na1 0.000 0.000 0.000
Na2 0.158 0.842 0.499
Na3 0.501 0.501 0.500
Na4 0.842 0.158 0.499
Sn1 0.332 0.667 0.999
Sn2 0.667 0.332 0.999
O1 0.073 0.440 0.213
O2 0.294 0.294 0.785
O3 0.440 0.073 0.213
O4 0.559 0.926 0.786
O5 0.705 0.705 0.214
O6 0.926 0.559 0.786

Results
Formation enthalpy at 0 K (eV/atom): -1.948
Energy (eV per atom): -10.247



2.
Na2SnO3 | r2SCAN | optimized geometry

Cell lengths 5.511, 5.511, 10.998 Å; angles 90.00, 90.00, 120.00 degrees
Fractional coordinates of all 24 atoms:
Na1 0.000 0.000 0.000
Na2 0.000 0.000 0.500
Na3 0.000 0.320 0.250
Na4 0.000 0.680 0.750
Na5 0.320 0.000 0.250
Na6 0.320 0.320 0.750
Na7 0.680 0.000 0.750
Na8 0.680 0.680 0.250
Sn1 0.333 0.667 0.000
Sn2 0.333 0.667 0.500
Sn3 0.667 0.333 0.000
Sn4 0.667 0.333 0.500
O1 0.000 0.367 0.605
O2 0.000 0.367 0.895
O3 0.000 0.633 0.105
O4 0.000 0.633 0.395
O5 0.367 0.000 0.605
O6 0.367 0.000 0.895
O7 0.367 0.367 0.105
O8 0.367 0.367 0.395
O9 0.633 0.000 0.105
O10 0.633 0.000 0.395
O11 0.633 0.633 0.605
O12 0.633 0.633 0.895

Results
Formation enthalpy at 0 K (eV/atom): -1.928
Energy (eV per atom): -10.227



3.
Na8SnO6 | r2SCAN | optimized geometry

Cell lengths 6.390, 6.390, 12.666 Å; angles 90.00, 90.00, 120.00 degrees
Fractional coordinates of all 30 atoms:
Na1 0.000 0.301 0.000
Na2 0.000 0.399 0.357
Na3 0.000 0.601 0.857
Na4 0.000 0.699 0.500
Na5 0.301 0.000 0.000
Na6 0.301 0.301 0.500
Na7 0.333 0.667 0.141
Na8 0.333 0.667 0.641
Na9 0.399 0.000 0.357
Na10 0.399 0.399 0.857
Na11 0.601 0.000 0.857
Na12 0.601 0.601 0.357
Na13 0.667 0.333 0.141
Na14 0.667 0.333 0.641
Na15 0.699 0.000 0.500
Na16 0.699 0.699 0.000
Sn1 0.000 0.000 0.228
Sn2 0.000 0.000 0.728
O1 0.000 0.000 0.386
O2 0.000 0.000 0.886
O3 0.000 0.294 0.182
O4 0.000 0.706 0.682
O5 0.294 0.000 0.182
O6 0.294 0.294 0.682
O7 0.333 0.667 0.451
O8 0.333 0.667 0.951
O9 0.667 0.333 0.451
O10 0.667 0.333 0.951
O11 0.706 0.000 0.682
O12 0.706 0.706 0.182

Results
Formation enthalpy at 0 K (eV/atom): -1.583
Energy (eV per atom): -7.523



4.
Na2SnO2 | r2SCAN | optimized geometry

Cell lengths 16.760, 6.747, 5.739 Å; angles 90.00, 90.00, 90.00 degrees
Fractional coordinates of all 40 atoms:
Na1 0.000 0.112 0.250
Na2 0.000 0.370 0.750
Na3 0.000 0.630 0.250
Na4 0.000 0.888 0.750
Na5 0.148 0.126 0.581
Na6 0.148 0.874 0.081
Na7 0.352 0.374 0.081
Na8 0.352 0.626 0.581
Na9 0.500 0.130 0.250
Na10 0.500 0.388 0.750
Na11 0.500 0.612 0.250
Na12 0.500 0.870 0.750
Na13 0.648 0.374 0.419
Na14 0.648 0.626 0.919
Na15 0.852 0.126 0.919
Na16 0.852 0.874 0.419
Sn1 0.158 0.367 0.068
Sn2 0.158 0.633 0.568
Sn3 0.342 0.133 0.568
Sn4 0.342 0.867 0.068
Sn5 0.658 0.133 0.932
Sn6 0.658 0.867 0.432
Sn7 0.842 0.367 0.432
Sn8 0.842 0.633 0.932
O1 0.088 0.150 0.940
O2 0.088 0.850 0.440
O3 0.097 0.404 0.388
O4 0.097 0.596 0.888
O5 0.403 0.096 0.888
O6 0.403 0.904 0.388
O7 0.412 0.350 0.440
O8 0.412 0.650 0.940
O9 0.588 0.350 0.060
O10 0.588 0.650 0.560
O11 0.597 0.096 0.612
O12 0.597 0.904 0.112
O13 0.903 0.404 0.112
O14 0.903 0.596 0.612
O15 0.912 0.150 0.560
O16 0.912 0.850 0.060

Results
Formation enthalpy at 0 K (eV/atom): -1.608
Energy (eV per atom): -10.372



5.
Na4SnO3 | r2SCAN | optimized geometry

Cell lengths 8.770, 8.770, 5.847 Å; angles 96.48, 96.48, 141.51 degrees
Fractional coordinates of all 16 atoms:
Na1 0.033 0.967 0.500
Na2 0.173 0.890 0.941
Na3 0.228 0.735 0.497
Na4 0.439 0.526 0.466
Na5 0.526 0.439 0.966
Na6 0.735 0.228 0.997
Na7 0.890 0.173 0.441
Na8 0.967 0.033 0.000
Sn1 0.336 0.623 0.996
Sn2 0.623 0.336 0.496
O1 0.118 0.440 0.219
O2 0.180 0.311 0.759
O3 0.311 0.180 0.259
O4 0.440 0.118 0.719
O5 0.662 0.786 0.209
O6 0.786 0.662 0.709

Results
Formation enthalpy at 0 K (eV/atom): -1.560
Energy (eV per atom): -8.676



6.
Na2SnO3 | r2SCAN | optimized geometry

Cell lengths 5.533, 5.533, 11.005 Å; angles 94.87, 94.87, 120.04 degrees
Fractional coordinates of all 24 atoms:
Na1 0.000 0.500 0.500
Na2 0.084 0.916 0.750
Na3 0.158 0.316 0.000
Na4 0.316 0.158 0.500
Na5 0.500 0.000 0.000
Na6 0.684 0.842 0.500
Na7 0.842 0.684 0.000
Na8 0.916 0.084 0.250
Sn1 0.250 0.750 0.250
Sn2 0.418 0.582 0.750
Sn3 0.582 0.418 0.250
Sn4 0.750 0.250 0.750
O1 0.048 0.246 0.643
O2 0.120 0.583 0.856
O3 0.246 0.048 0.143
O4 0.319 0.488 0.357
O5 0.417 0.880 0.644
O6 0.488 0.319 0.857
O7 0.512 0.681 0.143
O8 0.583 0.120 0.356
O9 0.681 0.512 0.643
O10 0.754 0.952 0.857
O11 0.880 0.417 0.144
O12 0.952 0.754 0.357

Results
Formation enthalpy at 0 K (eV/atom): -1.949
Energy (eV per atom): -10.247



7.
Na2SnO3 | r2SCAN | optimized geometry

Cell lengths 10.572, 10.076, 5.615 Å; angles 79.16, 69.40, 31.44 degrees
Fractional coordinates of all 24 atoms:
Na1 0.047 0.047 0.203
Na2 0.120 0.120 0.630
Na3 0.203 0.203 0.047
Na4 0.370 0.370 0.880
Na5 0.630 0.630 0.120
Na6 0.797 0.797 0.953
Na7 0.880 0.880 0.370
Na8 0.953 0.953 0.797
Sn1 0.291 0.291 0.459
Sn2 0.459 0.459 0.291
Sn3 0.541 0.541 0.709
Sn4 0.709 0.709 0.541
O1 0.039 0.528 0.250
O2 0.165 0.585 0.585
O3 0.250 0.683 0.039
O4 0.317 0.750 0.472
O5 0.415 0.835 0.835
O6 0.472 0.961 0.317
O7 0.528 0.039 0.683
O8 0.585 0.165 0.165
O9 0.683 0.250 0.528
O10 0.750 0.317 0.961
O11 0.835 0.415 0.415
O12 0.961 0.472 0.750

Results
Formation enthalpy at 0 K (eV/atom): -1.946
Energy (eV per atom): -10.245



8.
Na3SrTa4O12 | r2SCAN | optimized geometry

Cell lengths 5.550, 7.896, 5.560 Å; angles 90.00, 90.48, 90.00 degrees
Fractional coordinates of all 20 atoms:
Na1 0.000 0.000 0.000
Na2 0.007 0.500 0.971
Na3 0.504 0.500 0.476
Sr1 0.498 0.000 0.496
Ta1 0.004 0.254 0.485
Ta2 0.004 0.746 0.485
Ta3 0.504 0.254 0.985
Ta4 0.504 0.746 0.985
O1 0.048 0.500 0.523
O2 0.224 0.211 0.764
O3 0.224 0.789 0.764
O4 0.289 0.243 0.269
O5 0.289 0.757 0.269
O6 0.453 0.500 0.962
O7 0.553 0.000 0.006
O8 0.718 0.260 0.698
O9 0.718 0.740 0.698
O10 0.786 0.286 0.203
O11 0.786 0.714 0.203
O12 0.966 0.000 0.450

Results
Formation enthalpy at 0 K (eV/atom): -2.982
Energy (eV per atom): -17.576



9.
NaTbO2 | r2SCAN | optimized geometry

Cell lengths 6.100, 6.100, 6.100 Å; angles 135.63, 135.63, 64.55 degrees
Fractional coordinates of all 8 atoms:
Na1 0.375 0.625 0.750
Na2 0.625 0.375 0.250
Tb1 0.125 0.875 0.250
Tb2 0.875 0.125 0.750
O1 0.097 0.347 0.750
O2 0.347 0.097 0.250
O3 0.653 0.903 0.750
O4 0.903 0.653 0.250

Results
Formation enthalpy at 0 K (eV/atom): -3.081
Energy (eV per atom): -14.765



10.
Na2TbWO6 | r2SCAN | optimized geometry

Cell lengths 5.849, 5.849, 5.849 Å; angles 60.00, 60.00, 60.00 degrees
Fractional coordinates of all 10 atoms:
Na1 0.250 0.250 0.250
Na2 0.750 0.750 0.750
Tb1 0.000 0.000 0.000
W1 0.500 0.500 0.500
O1 0.269 0.269 0.731
O2 0.269 0.731 0.269
O3 0.269 0.731 0.731
O4 0.731 0.269 0.269
O5 0.731 0.269 0.731
O6 0.731 0.731 0.269

Results
Formation enthalpy at 0 K (eV/atom): -2.412
Energy (eV per atom): -14.968



11.
NaTcO3 | r2SCAN | optimized geometry

Cell lengths 3.815, 3.815, 3.815 Å; angles 90.00, 90.00, 90.00 degrees
Fractional coordinates of all 5 atoms:
Na1 0.000 0.000 0.000
Tc1 0.500 0.500 0.500
O1 0.000 0.500 0.500
O2 0.500 0.000 0.500
O3 0.500 0.500 0.000

Results
Formation enthalpy at 0 K (eV/atom): -1.804
Energy (eV per atom): -11.293



12.
Na2TeO4 | r2SCAN | optimized geometry

Cell lengths 10.569, 5.171, 13.743 Å; angles 90.00, 103.49, 90.00 degrees
Fractional coordinates of all 56 atoms:
Na1 0.043 0.105 0.186
Na2 0.043 0.395 0.686
Na3 0.129 0.744 0.533
Na4 0.129 0.756 0.033
Na5 0.355 0.239 0.197
Na6 0.355 0.261 0.697
Na7 0.431 0.749 0.603
Na8 0.431 0.751 0.103
Na9 0.569 0.249 0.897
Na10 0.569 0.251 0.397
Na11 0.645 0.739 0.303
Na12 0.645 0.761 0.803
Na13 0.871 0.244 0.967
Na14 0.871 0.256 0.467
Na15 0.957 0.605 0.314
Na16 0.957 0.895 0.814
Te1 0.224 0.224 0.423
Te2 0.224 0.276 0.923
Te3 0.291 0.725 0.316
Te4 0.291 0.775 0.816
Te5 0.709 0.225 0.184
Te6 0.709 0.275 0.684
Te7 0.776 0.724 0.077
Te8 0.776 0.776 0.577
O1 0.069 0.150 0.942
O2 0.069 0.350 0.442
O3 0.139 0.597 0.856
O4 0.139 0.903 0.356
O5 0.185 0.095 0.786
O6 0.185 0.405 0.286
O7 0.236 0.636 0.689
O8 0.236 0.864 0.189
O9 0.281 0.081 0.548
O10 0.281 0.419 0.048
O11 0.323 0.549 0.452
O12 0.323 0.951 0.952
O13 0.370 0.049 0.377
O14 0.370 0.451 0.877
O15 0.443 0.584 0.296
O16 0.443 0.916 0.796
O17 0.557 0.084 0.204
O18 0.557 0.416 0.704
O19 0.630 0.549 0.123
O20 0.630 0.951 0.623
O21 0.677 0.049 0.048
O22 0.677 0.451 0.548
O23 0.719 0.581 0.952
O24 0.719 0.919 0.452
O25 0.764 0.136 0.811
O26 0.764 0.364 0.311
O27 0.815 0.595 0.714
O28 0.815 0.905 0.214
O29 0.861 0.097 0.644
O30 0.861 0.403 0.144
O31 0.931 0.650 0.558
O32 0.931 0.850 0.058

Results
Formation enthalpy at 0 K (eV/atom): -1.599
Energy (eV per atom): -9.661



13.
Na2Te4O9 | r2SCAN | optimized geometry

Cell lengths 6.879, 7.357, 10.485 Å; angles 110.21, 90.31, 110.39 degrees
Fractional coordinates of all 30 atoms:
Na1 0.021 0.322 0.364
Na2 0.477 0.721 0.488
Na3 0.523 0.279 0.512
Na4 0.979 0.678 0.636
Te1 0.012 0.784 0.989
Te2 0.026 0.828 0.331
Te3 0.460 0.136 0.787
Te4 0.483 0.296 0.196
Te5 0.517 0.704 0.804
Te6 0.540 0.864 0.213
Te7 0.974 0.172 0.669
Te8 0.988 0.216 0.011
O1 0.035 0.341 0.860
O2 0.040 0.377 0.597
O3 0.059 0.997 0.884
O4 0.285 0.361 0.093
O5 0.287 0.189 0.668
O6 0.333 0.999 0.112
O7 0.337 0.832 0.334
O8 0.338 0.843 0.701
O9 0.365 0.359 0.354
O10 0.635 0.641 0.646
O11 0.662 0.157 0.299
O12 0.663 0.168 0.666
O13 0.667 0.001 0.888
O14 0.713 0.811 0.332
O15 0.715 0.639 0.907
O16 0.941 0.003 0.116
O17 0.960 0.623 0.403
O18 0.965 0.659 0.140

Results
Formation enthalpy at 0 K (eV/atom): -1.347
Energy (eV per atom): -12.184



14.
Na2TeO4 | r2SCAN | optimized geometry

Cell lengths 5.706, 12.127, 5.200 Å; angles 90.00, 90.00, 90.00 degrees
Fractional coordinates of all 28 atoms:
Na1 0.000 0.142 0.250
Na2 0.000 0.275 0.750
Na3 0.000 0.725 0.250
Na4 0.000 0.858 0.750
Na5 0.500 0.225 0.250
Na6 0.500 0.358 0.750
Na7 0.500 0.642 0.250
Na8 0.500 0.775 0.750
Te1 0.000 0.428 0.250
Te2 0.000 0.572 0.750
Te3 0.500 0.072 0.750
Te4 0.500 0.928 0.250
O1 0.180 0.449 0.572
O2 0.180 0.551 0.072
O3 0.203 0.326 0.111
O4 0.203 0.674 0.611
O5 0.297 0.174 0.611
O6 0.297 0.826 0.111
O7 0.320 0.051 0.072
O8 0.320 0.949 0.572
O9 0.680 0.051 0.428
O10 0.680 0.949 0.928
O11 0.703 0.174 0.889
O12 0.703 0.826 0.389
O13 0.797 0.326 0.389
O14 0.797 0.674 0.889
O15 0.820 0.449 0.928
O16 0.820 0.551 0.428

Results
Formation enthalpy at 0 K (eV/atom): -1.600
Energy (eV per atom): -9.662